First-principles (GGA-PBE) data for crystalline FeB2Mo2 at its relaxed geometry, as listed in the Materials Project database.

Space group ... P4/mbm, No. 127
Total magnetic moment ... 2.35 μB per formula unit

abc: 6.3952 6.3952 2.8201
angles: 90.00 90.00 90.00
Sites, in units of the cell vectors:
B1 0.8424 0.6576 0.5000
B2 0.6576 0.1576 0.5000
B3 0.1576 0.3424 0.5000
B4 0.3424 0.8424 0.5000
Fe1 0.0000 0.0000 0.0000
Fe2 0.5000 0.5000 0.0000
Mo1 0.1424 0.6424 0.0000
Mo2 0.3576 0.1424 0.0000
Mo3 0.6424 0.8576 0.0000
Mo4 0.8576 0.3576 0.0000

***

First-principles (GGA-PBE) data for crystalline Fe65B6N6 at its relaxed geometry, as listed in the Materials Project database.

Space group ... P1, No. 1
Total energy after the MP2020 corrections ... -8.38 eV/atom
Total magnetic moment ... 150.89 μB per formula unit

abc: 8.6980 4.8340 29.9936
angles: 90.00 90.00 134.25
Sites, in units of the cell vectors:
Fe1 0.1284 0.4349 0.3267
Fe2 0.5234 0.0249 0.1961
Fe3 0.1220 0.4201 0.8034
Fe4 0.1231 0.4228 0.1962
Fe5 0.7219 0.8201 0.9345
Fe6 0.2246 0.8254 0.2617
Fe7 0.0222 0.0208 0.7378
Fe8 0.8222 0.2208 0.7378
Fe9 0.0219 0.0201 0.0000
Fe10 0.7219 0.8201 0.0656
Fe11 0.5233 0.0243 0.6727
Fe12 0.9220 0.6201 0.0656
Fe13 0.4219 0.6200 0.0000
Fe14 0.4221 0.6206 0.7378
Fe15 0.2222 0.8211 0.1311
Fe16 0.8257 0.2289 0.6071
Fe17 0.4265 0.6315 0.6071
Fe18 0.1231 0.4231 0.6727
Fe19 0.6220 0.4200 0.0000
Fe20 0.7219 0.8201 0.8034
Fe21 0.5219 0.0200 0.0656
Fe22 0.6257 0.4291 0.2619
Fe23 0.1290 0.4364 0.5420
Fe24 0.7313 0.8394 0.5428
Fe25 0.2222 0.8210 0.7378
Fe26 0.6222 0.4209 0.1311
Fe27 0.9233 0.6241 0.1961
Fe28 0.3230 0.2228 0.1962
Fe29 0.9220 0.6200 0.9345
Fe30 0.7230 0.8227 0.1961
Fe31 0.8258 0.2286 0.2614
Fe32 0.9268 0.6325 0.5430
Fe33 0.3292 0.2343 0.3249
Fe34 0.3231 0.2230 0.6726
Fe35 0.3219 0.2201 0.0656
Fe36 0.5267 0.0296 0.3261
Fe37 0.3219 0.2200 0.9345
Fe38 0.3220 0.2202 0.8034
Fe39 0.2219 0.8200 0.0000
Fe40 0.8222 0.2209 0.1311
Fe41 0.4265 0.6315 0.2615
Fe42 0.5270 0.0303 0.5425
Fe43 0.2246 0.8260 0.6070
Fe44 0.0267 0.0310 0.6069
Fe45 0.2220 0.8200 0.8689
Fe46 0.0219 0.0201 0.8689
Fe47 0.7326 0.8407 0.3259
Fe48 0.9261 0.6302 0.3256
Fe49 0.4220 0.6200 0.8689
Fe50 0.8220 0.2201 0.0000
Fe51 0.6222 0.4209 0.7378
Fe52 0.6254 0.4290 0.6069
Fe53 0.5219 0.0200 0.9345
Fe54 0.7231 0.8233 0.6727
Fe55 0.9220 0.6201 0.8034
Fe56 0.3287 0.2344 0.5435
Fe57 0.1220 0.4201 0.9345
Fe58 0.1220 0.4202 0.0656
Fe59 0.8219 0.2200 0.8689
Fe60 0.5219 0.0200 0.8034
Fe61 0.4221 0.6206 0.1312
Fe62 0.6219 0.4200 0.8689
Fe63 0.0222 0.0208 0.1311
Fe64 0.9231 0.6237 0.6727
Fe65 0.0266 0.0303 0.2618
N1 0.9170 0.6424 0.4346
N2 0.2504 0.8087 0.4346
N3 0.5836 0.9765 0.4345
N4 0.5837 0.4765 0.4346
N5 0.9170 0.1423 0.4346
N6 0.2504 0.3088 0.4346
B1 0.8064 0.2539 0.4346
B2 0.4731 0.5877 0.4346
B3 0.1398 0.4202 0.4346
B4 0.1398 0.9202 0.4346
B5 0.4730 0.0878 0.4345
B6 0.8064 0.7538 0.4346

***

First-principles (GGA-PBE) data for crystalline Nb2FeB2 at its relaxed geometry, as listed in the Materials Project database.

Space group ... P4/mbm, No. 127
Total magnetic moment ... 1.52 μB per formula unit

abc: 5.7565 5.7565 3.4040
angles: 90.00 90.00 90.00
Sites, in units of the cell vectors:
Nb1 0.3203 0.8203 0.5000
Nb2 0.1797 0.3203 0.5000
Nb3 0.8203 0.6797 0.5000
Nb4 0.6797 0.1797 0.5000
Fe1 0.5000 0.5000 0.0000
Fe2 0.0000 0.0000 0.0000
B1 0.3853 0.1147 0.0000
B2 0.1147 0.6147 0.0000
B3 0.6147 0.8853 0.0000
B4 0.8853 0.3853 0.0000

***

First-principles (GGA-PBE) data for crystalline NbFeB at its relaxed geometry, as listed in the Materials Project database.

Space group ... P-62m, No. 189

abc: 6.0087 6.0087 3.2176
angles: 90.00 90.00 120.00
Sites, in units of the cell vectors:
Fe1 0.7613 0.7613 0.0000
Fe2 0.0000 0.2387 0.0000
Fe3 0.2387 0.0000 0.0000
Nb1 0.0000 0.5889 0.5000
Nb2 0.5889 0.0000 0.5000
Nb3 0.4111 0.4111 0.5000
B1 0.0000 0.0000 0.5000
B2 0.3333 0.6667 0.0000
B3 0.6667 0.3333 0.0000

***

Number 1: VASP energy -8.24 eV/atom, energy relative to the elements 0.469 eV per atom. Number 2: VASP energy -8.36 eV/atom, energy relative to the elements -0.064 eV per atom. Number 3: VASP energy -8.99 eV/atom, energy relative to the elements -0.582 eV per atom. Number 4: VASP energy -8.96 eV/atom, energy relative to the elements -0.540 eV per atom.